{"formula": "NbCrSn2O6", "functional": "PBE+U", "state": "relaxed", "dft_energy_ev_per_cell": -72.75, "e_form_ev_per_fu": -21.412, "lattice": [[-2.624, 4.268, 2.659], [-4.880, 2.043, -2.046], [-4.856, -0.945, 2.775]], "species": ["Sn", "Sn", "O", "O", "O", "O", "O", "O", "Cr", "Nb"], "frac_coords": [[0.750, 0.750, 0.750], [0.250, 0.250, 0.250], [0.750, 0.250, 0.250], [0.250, 0.750, 0.750], [0.250, 0.750, 0.250], [0.750, 0.250, 0.750], [0.250, 0.250, 0.750], [0.750, 0.750, 0.250], [0.000, 0.000, 0.000], [0.500, 0.500, 0.500]]}